[1]
Computed, not measured: Ti2Zn2SnO7 after structural relaxation at the PBE level of DFT.

The structure in POSCAR format:
```
Ti2Zn2SnO7
1.0
0.000 0.000 6.450
8.112 -0.058 0.000
3.925 7.099 0.000
Zn O Ti Sn
4 14 4 2
Cartesian
3.536 2.080 0.808
8.501 4.961 4.034
3.546 2.063 4.034
8.491 4.979 0.808
2.433 1.777 2.425
8.220 3.018 0.952
2.741 1.250 5.650
5.378 1.314 3.944
3.817 4.023 4.177
6.659 5.727 0.719
5.377 1.356 0.952
8.256 2.997 3.944
7.798 0.479 2.424
9.604 5.264 5.650
4.239 6.562 5.649
6.660 5.685 4.177
9.296 5.791 2.425
3.781 4.044 0.719
3.296 4.933 5.665
6.122 6.586 5.665
5.915 0.455 2.440
8.741 2.108 2.440
4.990 5.280 2.470
7.048 1.761 5.695
```

* M_tot: 0.0 Bohr magnetons per cell
* E_form: -30.5 eV/f.u.

=====

[2]
Computed, not measured: GaP3H2O10 after structural relaxation at the PBE level of DFT.

The structure in POSCAR format:
```
GaP3H2O10
1.0
8.816 0.000 0.000
0.000 7.446 0.000
0.000 4.845 11.540
O P H Ga
40 12 8 4
Cartesian
7.545 3.987 0.904
0.740 2.038 1.191
6.865 3.779 3.640
4.773 3.016 2.378
8.122 7.902 8.616
6.840 1.549 1.974
4.636 3.824 4.740
0.742 7.680 5.652
3.714 6.811 8.694
8.076 10.252 10.350
2.260 5.992 11.007
2.148 3.570 5.237
3.666 10.102 11.422
4.497 7.984 1.893
1.976 10.741 9.567
0.365 6.852 3.392
1.271 8.304 10.636
6.384 3.972 7.744
8.588 6.246 10.510
2.457 6.089 2.130
2.432 8.319 3.797
0.694 4.389 2.924
5.679 6.409 6.674
5.149 2.188 0.118
0.228 6.045 1.030
3.668 4.461 6.961
4.319 4.307 9.647
4.180 8.467 6.800
3.137 5.881 4.866
8.727 10.407 7.663
8.074 4.611 5.888
8.451 5.438 8.148
1.951 8.512 7.900
4.043 9.275 9.162
6.359 6.201 9.410
6.556 6.298 0.534
6.668 8.721 6.304
0.089 1.884 3.877
5.102 5.480 2.846
5.148 7.830 4.580
5.454 7.772 6.053
0.994 5.781 2.398
3.431 10.565 9.952
7.770 5.350 0.283
3.414 8.204 8.168
3.362 4.519 5.487
5.402 4.087 3.372
1.046 6.941 11.257
5.385 1.726 1.588
7.822 6.509 9.142
0.977 8.143 4.182
7.839 4.148 7.358
5.990 6.063 1.316
7.565 4.182 5.143
5.659 6.604 10.913
3.157 5.686 0.627
2.826 6.228 10.224
1.582 3.805 4.454
1.251 8.109 6.398
7.234 8.485 7.086
0.587 9.430 9.169
3.821 7.008 3.399
8.229 2.860 2.371
4.994 5.283 8.141
```

* M_tot: 0.0 Bohr magnetons per cell
* E_form: -37.6 eV/f.u.

=====

[3]
Computed, not measured: Ca2BiSbO6 after structural relaxation at the PBE level of DFT.

The structure in POSCAR format:
```
Ca2BiSbO6
1.0
8.240 0.000 0.000
0.000 5.769 0.000
0.000 0.045 5.972
Ca Sb O Bi
4 2 12 2
Cartesian
6.180 5.749 0.307
2.060 0.064 5.666
6.180 2.977 3.324
2.060 2.836 2.648
0.000 0.022 2.986
4.120 0.022 2.986
6.180 0.701 2.656
0.484 0.936 1.273
3.636 0.936 1.273
3.614 1.688 3.985
2.060 3.668 0.444
6.180 2.145 5.528
7.755 4.878 4.700
4.626 4.125 1.988
0.506 1.688 3.985
2.060 5.112 3.316
7.734 4.125 1.988
4.604 4.878 4.700
0.000 2.884 0.000
4.120 2.884 0.000
```

* M_tot: 0.0 Bohr magnetons per cell
* E_form: -24.4 eV/f.u.

=====

[4]
Computed, not measured: Sr7Ca2Al3O12F3 after structural relaxation at the PBE level of DFT.

The structure in POSCAR format:
```
Sr7Ca2Al3O12F3
1.0
-6.744 0.000 0.000
3.314 6.514 0.000
-0.235 -2.557 -17.307
O Sr Al Ca F
24 14 6 4 6
Cartesian
2.151 4.102 -14.378
-4.480 0.615 -8.594
0.780 3.331 -8.669
-2.395 1.910 -0.009
-1.001 4.602 -0.033
0.801 2.375 -11.543
-2.648 3.113 -12.743
-1.126 -1.436 -11.558
-4.466 1.601 -5.753
-2.649 0.306 -14.442
2.288 4.367 -4.086
-5.944 -0.414 -13.230
-1.014 3.620 -2.865
-5.839 -0.136 -2.920
-2.524 2.607 -7.449
-1.162 4.319 -10.305
-1.016 0.845 -4.531
-4.596 1.292 -16.079
-2.542 -0.372 -6.959
0.912 2.642 -1.252
-1.127 1.370 -9.863
0.921 5.639 -1.696
-2.521 5.387 -5.771
-4.557 -1.655 -15.630
-4.526 0.592 -0.985
-1.329 1.054 -12.508
-3.428 -0.638 -4.328
2.096 4.076 -6.730
-0.103 1.117 -7.207
-2.395 -0.700 -9.600
-3.532 2.859 -10.107
-3.429 4.126 -1.459
-2.327 2.898 -4.791
-5.765 -0.120 -10.565
-3.533 -1.910 -12.994
0.860 3.372 -16.343
-0.221 -0.166 -15.877
-2.511 2.787 -15.379
-3.501 1.110 -7.193
-0.059 -0.638 -4.326
-6.914 -1.916 -12.985
-0.041 4.126 -1.467
-0.170 2.855 -10.099
-3.600 -0.170 -15.870
1.066 2.336 -3.864
-1.326 4.628 -7.650
-1.184 1.153 -1.905
-4.754 1.607 -13.423
-0.119 3.489 -5.770
-3.429 1.747 -2.886
-3.573 0.489 -11.574
-3.503 5.221 -8.631
-0.190 2.199 -14.402
-0.023 0.024 -0.038
```

* M_tot: 0.0 Bohr magnetons per cell
* E_form: -92.8 eV/f.u.

=====

[5]
Computed, not measured: Mn7Fe3 after structural relaxation at the PBE level of DFT.

The structure in POSCAR format:
```
Mn7Fe3
1.0
6.069 0.000 0.000
0.000 6.049 0.000
0.000 0.020 6.050
Mn Fe
14 6
Cartesian
1.830 3.793 1.822
2.273 5.755 3.324
5.308 0.314 2.726
3.799 3.334 0.317
1.878 4.897 5.701
4.912 1.172 0.349
3.345 1.828 2.287
2.720 1.240 5.283
0.764 2.735 5.733
4.865 2.275 4.228
4.246 5.303 4.821
0.310 4.241 3.763
1.212 0.766 1.229
5.755 4.828 0.766
3.394 5.706 1.156
0.359 0.362 4.894
4.192 4.204 2.668
1.158 1.865 3.382
5.702 2.672 1.841
2.668 3.396 4.209
```

* M_tot: 2.4 Bohr magnetons per cell
* E_form: 0.9 eV/f.u.

=====

[6]
Computed, not measured: Ca6Si3H2O13 after structural relaxation at the PBE level of DFT.

The structure in POSCAR format:
```
Ca6Si3H2O13
1.0
-3.558 4.327 4.015
-4.600 -5.284 -0.067
6.835 -5.828 9.377
O Ca H Si
26 12 4 6
Cartesian
0.811 -8.177 8.700
-1.304 -1.435 6.212
-3.317 -0.871 4.004
2.880 -8.245 10.345
-2.134 1.392 4.626
0.278 -3.599 11.312
-0.258 0.140 7.978
2.453 -3.000 10.010
1.994 -5.914 9.322
0.597 -7.145 11.278
-1.808 -5.196 9.563
-1.066 -6.925 5.348
-4.380 -2.520 6.152
-1.219 -2.348 8.772
-0.104 -4.437 4.554
-2.339 -4.588 5.935
-4.203 1.460 2.981
-3.777 -3.785 3.316
-1.602 -3.186 2.014
-3.348 -4.961 0.847
3.057 -4.265 7.174
0.484 -1.589 3.763
-0.020 -5.350 7.114
-1.920 0.360 2.048
1.015 -2.197 7.391
2.025 -1.824 12.479
0.502 -4.050 8.946
0.051 0.374 5.259
-1.374 -7.159 8.066
2.037 -6.458 7.044
-3.361 -0.327 6.282
-0.490 -1.269 1.266
-5.302 -2.036 3.857
-0.833 -5.516 12.059
-3.046 -3.686 7.998
1.723 -3.099 5.328
-1.825 -2.735 4.380
3.979 -4.749 9.469
-5.171 -2.506 6.722
-2.420 -5.837 9.972
3.848 -4.279 6.604
1.096 -0.948 3.354
-0.439 -1.454 7.624
1.851 -3.153 11.528
-2.843 0.561 3.366
-0.885 -5.331 5.702
-3.174 -3.632 1.798
1.520 -7.346 9.960
```

* M_tot: 0.0 Bohr magnetons per cell
* E_form: -76.6 eV/f.u.

=====

[7]
Computed, not measured: Ti5CuSb2 after structural relaxation at the PBE level of DFT.

The structure in POSCAR format:
```
Ti5CuSb2
1.0
4.726 -3.623 -5.077
0.099 3.847 6.814
-3.417 -6.483 2.743
Cu Ti Sb
2 10 4
Cartesian
1.206 0.056 0.434
3.618 0.168 1.303
0.035 -2.365 0.207
1.797 -1.203 2.747
3.917 -3.440 -2.852
1.861 -4.997 -0.733
-1.532 -4.397 4.820
-2.509 -2.820 7.332
-0.453 -1.262 5.213
1.372 -3.895 4.273
-0.389 -5.057 1.733
2.939 -1.862 -0.341
-0.900 -2.544 2.828
1.083 0.884 4.462
2.308 -3.716 1.652
0.325 -7.143 0.018
```

* E_form: -3.5 eV/f.u.

=====

[8]
Computed, not measured: CuSiO4 after structural relaxation at the PBE level of DFT.

The structure in POSCAR format:
```
CuSiO4
1.0
4.938 -7.240 0.000
4.938 7.240 0.000
-5.677 0.000 6.676
Cu O Si
6 24 6
Cartesian
1.009 4.156 3.176
3.189 -4.156 3.501
-0.976 -2.802 4.424
-0.919 1.354 6.085
5.175 2.802 2.252
5.118 -1.354 0.591
0.071 -4.464 4.220
6.120 0.338 0.416
6.597 -2.353 1.458
4.146 -0.999 2.206
6.045 -5.109 0.082
0.851 -6.948 4.899
-2.398 2.353 5.219
3.348 6.948 1.777
5.432 2.988 0.294
1.914 2.522 3.610
1.982 -5.340 2.464
-1.233 -2.988 6.382
0.053 0.999 4.470
-0.425 4.126 4.532
-4.143 -1.839 6.489
-1.921 -0.338 6.260
4.128 4.464 2.456
2.285 -2.522 3.066
4.623 -4.126 2.144
0.448 -1.522 4.531
-1.846 5.109 6.594
2.216 5.340 4.212
3.750 1.522 2.145
8.341 1.839 0.187
-0.448 4.401 6.146
-3.216 -0.962 5.475
0.962 -5.363 5.259
7.414 0.962 1.201
3.237 5.363 1.417
4.647 -4.401 0.531
```

* M_tot: 18.1 Bohr magnetons per cell
* E_form: -10.0 eV/f.u.

=====

For the records above, the corresponding uncorrected energy values read -6.89; -6.64; -6.20; -6.49; -8.87; -6.96; -6.87; -6.09 eV/atom.